(1)
Below is crystalline Sc4Si7Ni12 at its relaxed geometry, with properties calculated at the PBE level.

- VASP energy: -6.4898 eV/atom
- Symmetry: Immm, No. 71
- Calculated formation energy: -721.6 meV per atom
- M_tot: 0.001 μB/f.u.

Cell and atoms, written as POSCAR:
```
Sc4Si7Ni12
1.0
-4.001 6.117 8.962
4.001 -6.117 8.962
4.001 6.117 -8.962
Ni Sc Si
36 12 21
Cartesian
2.660 6.117 -5.201
-1.361 4.207 3.904
-1.761 6.117 7.623
4.001 4.898 -6.941
2.640 1.909 5.058
2.212 4.311 -1.506
1.361 8.026 3.904
2.239 0.000 1.339
4.001 2.150 1.442
2.212 7.922 -1.506
5.362 1.909 5.058
2.212 4.311 1.506
0.000 3.966 10.404
1.789 1.805 7.456
0.000 1.218 2.021
1.761 6.117 7.623
0.000 3.966 7.520
1.789 -1.805 10.468
1.341 0.000 3.761
5.362 -1.909 5.058
-1.361 8.026 3.904
1.361 4.207 3.904
4.001 2.150 -1.442
0.000 1.218 15.903
0.000 0.000 10.195
4.001 4.898 6.941
1.789 -1.805 7.456
0.000 0.000 7.729
2.660 6.117 5.201
0.000 4.669 0.000
1.789 1.805 10.468
2.212 7.922 1.506
5.762 0.000 1.339
2.640 -1.909 5.058
1.341 0.000 14.163
0.000 7.564 0.000
0.000 6.117 2.315
6.368 2.219 0.000
1.634 2.219 0.000
-2.367 3.898 8.962
0.000 2.250 12.807
2.367 3.898 8.962
4.001 0.000 3.423
0.000 6.117 5.539
4.001 0.000 6.647
0.000 2.250 5.117
4.001 3.866 -3.845
4.001 3.866 3.845
0.000 8.773 2.090
4.001 2.656 6.872
1.859 6.117 0.000
-1.931 4.077 11.766
2.070 2.040 2.804
2.580 6.117 3.020
0.000 2.130 8.962
5.932 2.040 -2.804
1.420 0.000 11.982
2.141 0.000 8.962
2.070 2.040 -2.804
1.420 0.000 5.942
4.001 3.987 0.000
0.000 0.000 0.000
0.000 3.461 2.090
2.580 6.117 -3.020
-1.931 4.077 6.158
1.931 4.077 6.158
4.001 -2.656 6.872
1.931 4.077 11.766
5.932 2.040 2.804
```



(2)
Below is crystalline Sc3Si4Ni11 at its relaxed geometry, with properties calculated at the PBE level.

- VASP energy: -6.4023 eV/atom
- Symmetry: P6_3/mmc, No. 194
- Calculated formation energy: -608.9 meV per atom
- M_tot: 0.000 μB/f.u.

Cell and atoms, written as POSCAR:
```
Sc3Si4Ni11
1.0
-6.028 1.342 -4.978
-1.198 0.246 7.837
1.794 8.127 0.019
Ni Sc Si
22 6 8
Cartesian
-2.802 0.638 3.565
-1.853 1.201 -0.321
0.343 7.652 1.647
-3.515 5.067 -0.697
-2.351 6.901 4.708
-5.367 3.318 -0.925
-5.776 2.064 1.231
-1.917 4.648 3.575
-5.212 4.618 1.237
-3.081 2.815 -1.830
-3.579 8.514 3.199
-4.143 5.960 3.193
-0.220 5.098 1.641
-5.125 1.930 -3.023
-0.065 6.398 3.803
-1.290 3.755 -0.315
-1.972 6.823 2.228
-0.871 5.232 5.895
-0.307 7.786 5.901
-3.460 2.893 0.650
-4.562 4.484 -3.017
-2.630 9.077 -0.688
-4.158 3.041 3.283
-1.705 2.495 5.309
-3.728 7.221 -2.431
-1.274 6.675 -0.405
-4.216 7.321 0.759
-1.217 2.395 2.119
-2.716 4.858 1.439
0.448 2.032 0.005
0.298 4.187 3.928
-3.014 0.671 -2.489
-3.613 0.794 1.430
1.345 6.096 0.014
-0.599 0.123 3.919
-2.117 4.735 -2.480
```



(3)
Below is crystalline ScSiNi at its relaxed geometry, with properties calculated at the PBE level.

- VASP energy: -6.7347 eV/atom
- Symmetry: Pnma, No. 62
- Calculated formation energy: -888.7 meV per atom

Cell and atoms, written as POSCAR:
```
ScSiNi
1.0
-2.148 3.386 -0.050
-4.186 -2.593 4.149
3.748 2.456 5.317
Ni Si Sc
4 4 4
Cartesian
-2.874 1.834 6.427
-3.100 -0.731 3.225
0.514 3.980 6.190
0.288 1.414 2.988
-2.370 -0.235 5.455
-1.433 0.304 1.741
-1.153 2.944 7.674
-0.216 3.484 3.960
0.031 1.292 5.760
-1.699 0.234 8.350
-2.617 1.956 3.655
-0.887 3.015 1.065
```